<1>
Entry from the Materials Project database: an optimized crystal structure of Mo8P6O49 (PBE with a Hubbard U).

a = 8.678 Å, b = 10.746 Å, c = 13.545 Å
α = 85.92°, β = 82.17°, γ = 67.05°
Atoms (fractional coordinates):
O 0.531 0.817 0.451
O 0.367 0.828 0.899
O 0.418 0.963 0.640
O 0.390 0.289 0.998
O 0.168 0.714 0.514
O 0.873 0.774 0.024
O 0.051 0.332 0.287
O 0.232 0.345 0.420
O 0.127 0.226 0.976
O 0.832 0.959 0.214
O 0.907 0.252 0.797
O 0.832 0.286 0.486
O 0.469 0.183 0.549
O 0.375 0.236 0.251
O 0.756 0.529 0.142
O 0.120 0.228 0.650
O 0.278 0.071 0.464
O 0.467 0.426 0.111
O 0.093 0.748 0.203
O 0.610 0.711 0.002
O 0.722 0.929 0.536
O 0.668 0.323 0.959
O 0.813 0.732 0.184
O 0.533 0.574 0.889
O 0.768 0.655 0.580
O 0.221 0.599 0.550
O 0.244 0.471 0.858
O 0.313 0.760 0.700
O 0.332 0.677 0.041
O 0.625 0.764 0.749
O 0.090 0.504 0.064
O 0.425 0.633 0.236
O 0.910 0.496 0.936
O 0.741 0.002 0.793
O 0.587 0.048 0.815
O 0.633 0.172 0.101
O 0.777 0.517 0.734
O 0.223 0.483 0.266
O 0.949 0.668 0.713
O 0.575 0.367 0.764
O 0.259 0.998 0.207
O 0.168 0.041 0.786
O 0.779 0.401 0.450
O 0.880 0.772 0.350
O 0.187 0.268 0.816
O 0.687 0.240 0.300
O 0.000 0.000 0.000
O 0.582 0.037 0.360
O 0.413 0.952 0.185
Mo 0.728 0.793 0.476
Mo 0.272 0.207 0.524
Mo 0.843 0.608 0.049
Mo 0.379 0.873 0.744
Mo 0.699 0.408 0.829
Mo 0.301 0.592 0.171
Mo 0.157 0.392 0.951
Mo 0.621 0.127 0.256
P 0.462 0.701 0.957
P 0.102 0.194 0.765
P 0.898 0.806 0.235
P 0.538 0.299 0.043
P 0.209 0.342 0.304
P 0.791 0.658 0.696

Summary:
Size of the total moment = 12.00 μB per formula unit

---

<2>
Entry from the Materials Project database: an optimized crystal structure of Mo8P6O49 (PBE with a Hubbard U).

a = 8.390 Å, b = 10.671 Å, c = 13.100 Å
α = 89.00°, β = 83.27°, γ = 68.46°
Atoms (fractional coordinates):
O 0.756 0.404 0.470
O 0.632 0.755 0.764
O 0.778 0.517 0.145
O 0.171 0.713 0.506
O 0.529 0.571 0.889
O 0.368 0.245 0.236
O 0.417 0.641 0.244
O 0.829 0.287 0.494
O 0.741 0.011 0.781
O 0.210 0.279 0.810
O 0.471 0.429 0.111
O 0.896 0.492 0.936
O 0.085 0.245 0.996
O 0.586 0.044 0.810
O 0.606 0.721 0.005
O 0.361 0.827 0.896
O 0.394 0.279 0.995
O 0.915 0.755 0.004
O 0.639 0.173 0.104
O 0.795 0.947 0.240
O 0.962 0.666 0.711
O 0.925 0.252 0.792
O 0.205 0.053 0.760
O 0.246 0.337 0.419
O 0.506 0.104 0.381
O 0.075 0.748 0.208
O 0.297 0.765 0.703
O 0.122 0.251 0.636
O 0.216 0.488 0.271
O 0.676 0.316 0.956
O 0.104 0.508 0.064
O 0.222 0.483 0.855
O 0.038 0.334 0.289
O 0.494 0.896 0.619
O 0.472 0.159 0.586
O 0.244 0.596 0.530
O 0.261 0.044 0.495
O 0.414 0.956 0.190
O 0.583 0.359 0.756
O 0.703 0.235 0.297
O 0.784 0.512 0.729
O 0.259 0.989 0.219
O 0.878 0.749 0.364
O 0.324 0.684 0.044
O 0.739 0.956 0.505
O 0.000 0.000 0.000
O 0.528 0.841 0.414
O 0.790 0.721 0.190
O 0.754 0.663 0.581
P 0.203 0.345 0.303
P 0.880 0.791 0.250
P 0.797 0.655 0.697
P 0.544 0.297 0.043
P 0.456 0.703 0.957
P 0.120 0.209 0.750
Mo 0.845 0.626 0.041
Mo 0.696 0.814 0.486
Mo 0.155 0.374 0.959
Mo 0.391 0.870 0.739
Mo 0.609 0.130 0.261
Mo 0.291 0.595 0.174
Mo 0.709 0.405 0.826
Mo 0.304 0.186 0.514

Summary:
Size of the total moment = 12.00 μB per formula unit

---

<1> has the most favorable energy; the next structure is 0.005 eV/atom above.